# Li7V3P8O29 | the Materials Project | PBE+U | relaxed
# Relative energy among the computed polymorphs: 0.009 eV per atom
# Uncorrected energy: -657.1 eV for the cell shown
data_Li7V3P8O29
_cell_length_a 9.8479
_cell_length_b 9.8741
_cell_length_c 13.9264
_cell_angle_alpha 89.90
_cell_angle_beta 89.62
_cell_angle_gamma 60.18
_symmetry_space_group_name_H-M 'P 1'
_symmetry_Int_Tables_number 1
_symmetry_space_group_name_Hall 'P 1'
loop_
_atom_site_label
_atom_site_type_symbol
_atom_site_fract_x
_atom_site_fract_y
_atom_site_fract_z
Li1 Li 0.0000 0.0000 0.0000
Li2 Li 0.0051 0.9908 0.5027
Li3 Li 0.3265 0.3364 0.7687
Li4 Li 0.3422 0.7550 0.3251
Li5 Li 0.4309 0.0004 0.4470
Li6 Li 0.4468 0.5837 0.9462
Li7 Li 0.5687 0.4290 0.4451
Li8 Li 0.5751 0.9759 0.9454
Li9 Li 0.7227 0.6468 0.3968
Li10 Li 0.7485 0.3545 0.8235
Li11 Li 0.7553 0.9015 0.3216
Li12 Li 0.8881 0.7555 0.8176
Li13 Li 0.9015 0.3374 0.3219
Li14 Li 0.9795 0.4402 0.9431
V1 V 0.0997 0.6603 0.6326
V2 V 0.1035 0.2279 0.1349
V3 V 0.2285 0.6641 0.1383
V4 V 0.2328 0.0955 0.6365
V5 V 0.6606 0.2310 0.6345
V6 V 0.6673 0.0944 0.1358
P1 P 0.0000 0.9983 0.2601
P2 P 0.3323 0.3311 0.0123
P3 P 0.3331 0.3259 0.5111
P4 P 0.3475 0.8914 0.0460
P5 P 0.3503 0.7520 0.5436
P6 P 0.4324 0.5732 0.7301
P7 P 0.4334 0.9787 0.2310
P8 P 0.5700 0.9872 0.7276
P9 P 0.5784 0.4333 0.2275
P10 P 0.7555 0.8909 0.5427
P11 P 0.7584 0.3407 0.0430
P12 P 0.8927 0.3465 0.5391
P13 P 0.8987 0.7526 0.0380
P14 P 0.9704 0.5819 0.2247
P15 P 0.9854 0.4307 0.7257
P16 P 0.9933 0.9999 0.7581
O1 O 0.0026 0.4130 0.2261
O2 O 0.0060 0.0020 0.3681
O3 O 0.0381 0.7803 0.0606
O4 O 0.0423 0.1848 0.5481
O5 O 0.1237 0.5894 0.2192
O6 O 0.1332 0.0111 0.7092
O7 O 0.1532 0.2904 0.7098
O8 O 0.1547 0.8533 0.2200
O9 O 0.1798 0.0361 0.0605
O10 O 0.1826 0.3278 0.0545
O11 O 0.1841 0.7760 0.5519
O12 O 0.1887 0.4685 0.5512
O13 O 0.2826 0.1369 0.2153
O14 O 0.2933 0.5458 0.7127
O15 O 0.3200 0.3415 0.9047
O16 O 0.3263 0.7455 0.0449
O17 O 0.3280 0.4813 0.0559
O18 O 0.3365 0.1739 0.5546
O19 O 0.3380 0.9142 0.5435
O20 O 0.3545 0.3080 0.4048
O21 O 0.4086 0.0013 0.7270
O22 O 0.4133 0.5814 0.2254
O23 O 0.4219 0.6589 0.8203
O24 O 0.4283 0.8985 0.3225
O25 O 0.4339 0.9020 0.9617
O26 O 0.4400 0.6588 0.4556
O27 O 0.4463 0.8679 0.1428
O28 O 0.4485 0.6649 0.6376
O29 O 0.4798 0.1823 0.0458
O30 O 0.4851 0.3271 0.5543
O31 O 0.5473 0.1541 0.7125
O32 O 0.5696 0.2853 0.2158
O33 O 0.5802 0.9942 0.2267
O34 O 0.5849 0.4114 0.7256
O35 O 0.6618 0.8822 0.6356
O36 O 0.6647 0.4179 0.9542
O37 O 0.6648 0.8927 0.4539
O38 O 0.6655 0.9115 0.8159
O39 O 0.6660 0.4375 0.3159
O40 O 0.6673 0.4513 0.1338
O41 O 0.7461 0.3273 0.5428
O42 O 0.7476 0.9109 0.0394
O43 O 0.7691 0.0409 0.5526
O44 O 0.7873 0.1740 0.0588
O45 O 0.8404 0.1456 0.7160
O46 O 0.8565 0.9871 0.2258
O47 O 0.8612 0.6761 0.3049
O48 O 0.8803 0.4451 0.6339
O49 O 0.8834 0.6522 0.1238
O50 O 0.8844 0.4375 0.4502
O51 O 0.9102 0.4100 0.8150
O52 O 0.9163 0.7475 0.5445
O53 O 0.9199 0.3317 0.0419
O54 O 0.9217 0.6620 0.9467
O55 O 0.9912 0.0138 0.8653
O56 O 0.9924 0.1524 0.2186
O57 O 0.9924 0.5817 0.7281
O58 O 0.9981 0.8489 0.7242



# LiVP4O12 | the Materials Project | PBE+U | relaxed
# Relative energy among the computed polymorphs: 0.086 eV per atom
# Uncorrected energy: -257.3 eV for the cell shown
data_LiVP4O12
_cell_length_a 7.0183
_cell_length_b 8.7542
_cell_length_c 7.4044
_cell_angle_alpha 90.00
_cell_angle_beta 94.26
_cell_angle_gamma 90.00
_symmetry_space_group_name_H-M 'P 1 21 1'
_symmetry_Int_Tables_number 4
_symmetry_space_group_name_Hall 'P 2yb'
loop_
_atom_site_label
_atom_site_type_symbol
_atom_site_fract_x
_atom_site_fract_y
_atom_site_fract_z
Li1 Li 0.1531 0.0000 0.3321
V1 V 0.2725 0.5638 0.7723
P1 P 0.0713 0.0115 0.9247
P2 P 0.1094 0.3690 0.4057
P3 P 0.4180 0.2103 0.9071
P4 P 0.4848 0.5077 0.4145
O1 O 0.0223 0.5060 0.2814
O2 O 0.0317 0.2165 0.3485
O3 O 0.0926 0.5504 0.9607
O4 O 0.0935 0.4196 0.6010
O5 O 0.1921 0.8813 0.9851
O6 O 0.1954 0.1672 0.9066
O7 O 0.3230 0.9458 0.5331
O8 O 0.3331 0.3721 0.3647
O9 O 0.3934 0.6121 0.5481
O10 O 0.4223 0.3701 0.8340
O11 O 0.4804 0.5974 0.2259
O12 O 0.4846 0.6810 0.9084



# LiV2P3O11 | the Materials Project | PBE+U | relaxed
# Uncorrected energy: -501.0 eV for the cell shown
data_LiV2P3O11
_cell_length_a 11.6874
_cell_length_b 8.7011
_cell_length_c 8.8202
_cell_angle_alpha 90.00
_cell_angle_beta 114.62
_cell_angle_gamma 90.00
_symmetry_space_group_name_H-M 'C 1 2 1'
_symmetry_Int_Tables_number 5
_symmetry_space_group_name_Hall 'C 2y'
loop_
_atom_site_label
_atom_site_type_symbol
_atom_site_fract_x
_atom_site_fract_y
_atom_site_fract_z
Li1 Li 0.2491 0.0000 0.2607
V1 V 0.1239 0.4732 0.2915
V2 V 0.1241 0.9961 0.7925
P1 P 0.0000 0.1909 0.0000
P2 P 0.0000 0.2778 0.5000
P3 P 0.1120 0.6709 0.9642
P4 P 0.1125 0.7988 0.4647
O1 O 0.0000 0.7240 0.5000
O2 O 0.0000 0.7465 0.0000
O3 O 0.0582 0.5638 0.8140
O4 O 0.0599 0.9055 0.3145
O5 O 0.0693 0.1802 0.6565
O6 O 0.0702 0.2874 0.1575
O7 O 0.1031 0.0860 0.9848
O8 O 0.1027 0.3833 0.4841
O9 O 0.1863 0.8055 0.9421
O10 O 0.1870 0.6620 0.4468
O11 O 0.1881 0.5785 0.1264
O12 O 0.1885 0.8910 0.6269



# Li5V3P8O29 | the Materials Project | PBE+U | relaxed
# Relative energy among the computed polymorphs: 0.003 eV per atom
# Uncorrected energy: -632.7 eV for the cell shown
data_Li5V3P8O29
_cell_length_a 9.7991
_cell_length_b 9.8067
_cell_length_c 14.1267
_cell_angle_alpha 90.24
_cell_angle_beta 90.07
_cell_angle_gamma 119.71
_symmetry_space_group_name_H-M 'P 1'
_symmetry_Int_Tables_number 1
_symmetry_space_group_name_Hall 'P 1'
loop_
_atom_site_label
_atom_site_type_symbol
_atom_site_fract_x
_atom_site_fract_y
_atom_site_fract_z
Li1 Li 0.0000 0.0000 0.0000
Li2 Li 0.9997 0.4224 0.4976
Li3 Li 0.0761 0.1797 0.6175
Li4 Li 0.4344 0.8657 0.9999
Li5 Li 0.4416 0.4392 0.4477
Li6 Li 0.4427 0.4353 0.9498
Li7 Li 0.4593 0.0116 0.4945
Li8 Li 0.7630 0.0900 0.0668
Li9 Li 0.8582 0.8696 0.4952
Li10 Li 0.8689 0.4313 0.9985
V1 V 0.1990 0.0943 0.8087
V2 V 0.2066 0.5328 0.3044
V3 V 0.3378 0.6708 0.8050
V4 V 0.3406 0.0990 0.3050
V5 V 0.7693 0.6644 0.3018
V6 V 0.7715 0.5296 0.8050
P1 P 0.0018 0.4158 0.7147
P2 P 0.0820 0.3240 0.8980
P3 P 0.0907 0.1893 0.3985
P4 P 0.1010 0.7618 0.9296
P5 P 0.1036 0.7654 0.4270
P6 P 0.4316 0.4279 0.6885
P7 P 0.4374 0.4317 0.1873
P8 P 0.4513 0.0135 0.7139
P9 P 0.4565 0.8680 0.2136
P10 P 0.5433 0.7805 0.3961
P11 P 0.5472 0.1869 0.8964
P12 P 0.6821 0.3281 0.3966
P13 P 0.6816 0.7875 0.8960
P14 P 0.8533 0.4063 0.2132
P15 P 0.8534 0.8620 0.7131
P16 P 0.9962 0.0129 0.2162
O1 O 0.0149 0.0949 0.4860
O2 O 0.0171 0.0130 0.7223
O3 O 0.0199 0.4373 0.2257
O4 O 0.0212 0.3489 0.6236
O5 O 0.0907 0.7594 0.5320
O6 O 0.0930 0.9076 0.8916
O7 O 0.1068 0.3532 0.4013
O8 O 0.1129 0.1820 0.8991
O9 O 0.1125 0.7621 0.0348
O10 O 0.1139 0.6207 0.3863
O11 O 0.1505 0.0128 0.2277
O12 O 0.1513 0.5768 0.7386
O13 O 0.2442 0.4760 0.8898
O14 O 0.2500 0.9177 0.3906
O15 O 0.2551 0.7684 0.8854
O16 O 0.2561 0.2093 0.3812
O17 O 0.2795 0.2789 0.7246
O18 O 0.2904 0.4338 0.2302
O19 O 0.2911 0.0021 0.7393
O20 O 0.2985 0.7168 0.2253
O21 O 0.3968 0.2008 0.8892
O22 O 0.3989 0.6138 0.3843
O23 O 0.4251 0.5742 0.7357
O24 O 0.4299 0.0103 0.2306
O25 O 0.4296 0.4356 0.5830
O26 O 0.4300 0.8454 0.7276
O27 O 0.4407 0.4400 0.0820
O28 O 0.4417 0.2892 0.2287
O29 O 0.5087 0.7578 0.8978
O30 O 0.5113 0.0820 0.6204
O31 O 0.5144 0.1836 0.4008
O32 O 0.5369 0.8715 0.4778
O33 O 0.5392 0.8867 0.1218
O34 O 0.5566 0.0912 0.9751
O35 O 0.5690 0.1158 0.7970
O36 O 0.5695 0.8779 0.2990
O37 O 0.5785 0.4314 0.7311
O38 O 0.5853 0.5834 0.2314
O39 O 0.6615 0.4751 0.3815
O40 O 0.6704 0.6251 0.8904
O41 O 0.6892 0.3578 0.8970
O42 O 0.6907 0.7577 0.3977
O43 O 0.7491 0.8764 0.7962
O44 O 0.7521 0.2983 0.2998
O45 O 0.7757 0.8952 0.9747
O46 O 0.7809 0.3296 0.1210
O47 O 0.7807 0.8490 0.6195
O48 O 0.7830 0.3419 0.4782
O49 O 0.8501 0.5638 0.2305
O50 O 0.8546 0.8419 0.2282
O51 O 0.8561 0.4338 0.7199
O52 O 0.8685 0.7161 0.7398
O53 O 0.9509 0.7569 0.3812
O54 O 0.9576 0.6086 0.8906
O55 O 0.9741 0.0789 0.1261
O56 O 0.9779 0.3137 0.9774
O57 O 0.9803 0.1040 0.3075
O58 O 0.9892 0.3006 0.7989



Calculated energy of formation (eV/atom), listed in the same order as above: -2.68 -2.59 -2.67 -2.62